Record 1
This record from Materials Project describes a geometry-optimized SnHg2S2Br2 structure. The functional is GGA-PBE.

Unit cell a=9.6079 b=8.2409 c=12.9034 alpha=90.00 beta=123.58 gamma=90.00
Closest atoms and distances in Å follow each position.
Space group P2_1/c (No. 14)
Asymmetric unit:
Sn: 0.1428 0.0848 0.4252 [4 per cell]  3 Br 2.84-2.96, 2 S 3.01-3.08
Hg: 0.2453 0.5528 0.6162 [4 per cell]  2 S 2.40
Hg: 0.4133 0.6834 0.3761 [4 per cell]  2 S 2.40-2.42
S: 0.1527 0.6827 0.7344 [4 per cell]  2 Hg 2.40
S: 0.3048 0.0866 0.9817 [4 per cell]  2 Hg 2.40-2.42
Br: 0.0974 0.1740 0.6173 [4 per cell]  2 Sn 2.84-2.96
Br: 0.4323 0.6011 0.1133 [4 per cell]  1 Sn 2.92

Output
* volume: 30.40 Å³ per atom
* relative energy among the computed polymorphs: 0.00 eV per formula unit
* DFT total energy: -2.73 eV/atom
* ΔH_f (0 K): -714 meV/atom
* crystal system: monoclinic

=====

Record 2
This record from Materials Project describes a geometry-optimized K2ScSi2O7 structure. The functional is GGA-PBE.

Unit cell a=12.7952 b=12.8598 c=8.5386 alpha=90.00 beta=90.00 gamma=90.00
Closest atoms and distances in Å follow each position.
Space group Pbam (No. 55)
Asymmetric unit:
K: 0.0185 0.2087 0.0000 [4 per cell]  3 O 2.67-2.80
K: 0.0259 0.8428 0.5000 [4 per cell]  7 O 2.81-3.09
K: 0.1556 0.5211 0.0000 [4 per cell]  6 O 2.87-3.12
K: 0.2154 0.5211 0.5000 [4 per cell]  8 O 2.81-3.07
Sc: 0.2502 0.2519 0.2507 [8 per cell]  6 O 2.09-2.16
Si: 0.0070 0.3791 0.3116 [8 per cell]  4 O 1.61-1.67
Si: 0.1224 0.9941 0.1885 [8 per cell]  4 O 1.61-1.68
O: 0.0000 0.0000 0.2579 [4 per cell]  2 Si 1.68
O: 0.0000 0.5000 0.2397 [4 per cell]  2 Si 1.67
O: 0.0319 0.3903 0.5000 [4 per cell]  2 Si 1.65
O: 0.1038 0.3228 0.2272 [8 per cell]  1 Si 1.61
O: 0.1041 0.6777 0.2858 [8 per cell]  1 Si 1.61
O: 0.1121 0.9664 0.0000 [4 per cell]  2 Si 1.65
O: 0.1782 0.8991 0.2784 [8 per cell]  1 Si 1.61
O: 0.1810 0.1044 0.2081 [8 per cell]  1 Si 1.61
O: 0.2274 0.7532 0.0000 [4 per cell]  2 Sc 2.16
O: 0.2319 0.2351 0.5000 [4 per cell]  2 Sc 2.15

Output
* volume: 14.64 Å³ per atom
* DFT total energy: -7.05 eV/atom
* ΔH_f (0 K): -2950 meV/atom
* crystal system: orthorhombic

=====

Record 3
This record from Materials Project describes a geometry-optimized PmMgAu2 structure. The functional is GGA-PBE.

Unit cell a=7.0804 b=7.0804 c=7.0804 alpha=90.00 beta=90.00 gamma=90.00
Closest atoms and distances in Å follow each position.
Space group Fm-3m (No. 225)
Asymmetric unit:
Pm: 0.0000 0.0000 0.0000 [4 per cell]  8 Au 3.07
Mg: 0.0000 0.0000 0.5000 [4 per cell]  8 Au 3.07
Au: 0.2500 0.2500 0.2500 [8 per cell]  4 Mg 3.07, 4 Pm 3.07

Output
* volume: 22.18 Å³ per atom
* DFT total energy: -3.97 eV/atom
* ΔH_f (0 K): -747 meV/atom
* crystal system: cubic

=====

Record 4
This record from Materials Project describes a geometry-optimized K2TaCuBr6 structure. The functional is GGA-PBE.

Unit cell a=10.6394 b=10.6394 c=10.6394 alpha=90.00 beta=90.00 gamma=90.00
Closest atoms and distances in Å follow each position.
Space group Fm-3m (No. 225)
Asymmetric unit:
K: 0.2500 0.2500 0.2500 [8 per cell]  12 Br 3.76
Ta: 0.0000 0.0000 0.0000 [4 per cell]  6 Br 2.64
Cu: 0.0000 0.0000 0.5000 [4 per cell]  6 Br 2.67
Br: 0.0000 0.0000 0.2486 [24 per cell]  1 Ta 2.64, 1 Cu 2.67

Output
* volume: 30.11 Å³ per atom
* DFT total energy: -3.73 eV/atom
* ΔH_f (0 K): -1246 meV/atom
* crystal system: cubic

=====

Record 5
This record from Materials Project describes a geometry-optimized Mo3WSe2S6 structure. The functional is GGA-PBE.

Unit cell a=3.2223 b=3.2223 c=36.3030 alpha=90.00 beta=90.00 gamma=120.00
Closest atoms and distances in Å follow each position.
Space group P3m1 (No. 156)
Asymmetric unit:
Mo: 0.0000 0.0000 0.0000 [1 per cell]  6 S 2.42
Mo: 0.0000 0.0000 0.3757 [1 per cell]  6 S 2.42
Mo: 0.6667 0.3333 0.8121 [1 per cell]  6 S 2.42-2.43
W: 0.6667 0.3333 0.1879 [1 per cell]  6 Se 2.53
Se: 0.0000 0.0000 0.1405 [1 per cell]  3 W 2.53
Se: 0.0000 0.0000 0.2352 [1 per cell]  3 W 2.53
S: 0.0000 0.0000 0.7693 [1 per cell]  3 Mo 2.43
S: 0.0000 0.0000 0.8550 [1 per cell]  3 Mo 2.42
S: 0.6667 0.3333 0.0428 [1 per cell]  3 Mo 2.42
S: 0.6667 0.3333 0.3329 [1 per cell]  3 Mo 2.42
S: 0.6667 0.3333 0.4186 [1 per cell]  3 Mo 2.42
S: 0.6667 0.3333 0.9572 [1 per cell]  3 Mo 2.42

Output
* volume: 27.20 Å³ per atom
* relative energy among the computed polymorphs: 0.22 eV per formula unit
* DFT total energy: -7.22 eV/atom
* ΔH_f (0 K): -1029 meV/atom
* crystal system: trigonal

=====

Record 6
This record from Materials Project describes a geometry-optimized Ba2PrHfO6 structure. The functional is GGA-PBE.

Unit cell a=8.8312 b=8.8312 c=8.8312 alpha=90.00 beta=90.00 gamma=90.00
Closest atoms and distances in Å follow each position.
Space group Fm-3m (No. 225)
Asymmetric unit:
Ba: 0.2500 0.2500 0.2500 [8 per cell]  12 O 3.12
Pr: 0.0000 0.0000 0.0000 [4 per cell]  6 O 2.34
Hf: 0.0000 0.0000 0.5000 [4 per cell]  6 O 2.08
O: 0.0000 0.0000 0.2646 [24 per cell]  1 Hf 2.08

Output
* volume: 17.22 Å³ per atom
* DFT total energy: -7.76 eV/atom
* ΔH_f (0 K): -3342 meV/atom
* crystal system: cubic